DFT (r²SCAN) results for crystalline Sn7Ru3 at its relaxed geometry.

Lattice parameters (Å, degrees): 9.406 9.406 9.406 90.00 90.00 90.00
Space group Im-3m (No. 229)
Symmetry-distinct sites (fractional):
Sn 0.000 0.250 0.500
Sn 0.161 0.161 0.161
Ru 0.000 0.000 0.345

Results
- Raw total energy: -1004.61 eV/cell
- Energy of formation from the pure elements: -0.17 eV/atom



DFT (r²SCAN) results for crystalline TbY3 at its relaxed geometry.

Lattice parameters (Å, degrees): 5.106 5.106 10.104 90.00 90.00 90.00
Space group I4/mmm (No. 139)
Symmetry-distinct sites (fractional):
Tb 0.000 0.000 0.000
Y 0.000 0.000 0.500
Y 0.000 0.500 0.250

Results
- Raw total energy: -183.71 eV/cell
- Energy of formation from the pure elements: 0.08 eV/atom



DFT (r²SCAN) results for crystalline GdThN2 at its relaxed geometry.

Lattice parameters (Å, degrees): 3.6042 3.6042 17.5185 90.00 90.00 120.00
Space group R-3m (No. 166, hexagonal axes)
Symmetry-distinct sites (fractional):
Gd 0.0000 0.0000 0.0000
Th 0.0000 0.0000 0.5000
N 0.0000 0.0000 0.2494

Results
- Raw total energy: -426.92 eV/cell
- Energy of formation from the pure elements: -1.79 eV/atom



DFT (r²SCAN) results for crystalline Dy2S3O12 at its relaxed geometry.

Lattice parameters (Å, degrees): 12.758 9.218 9.309 90.00 90.00 90.00
Space group Pbcn (No. 60)
Symmetry-distinct sites (fractional):
Dy 0.118 0.249 0.037
S 0.000 0.032 0.750
S 0.146 0.395 0.386
O 0.042 0.337 0.418
O 0.055 0.124 0.854
O 0.077 0.059 0.176
O 0.146 0.447 0.905
O 0.174 0.361 0.237
O 0.222 0.330 0.484

Results
- Raw total energy: -799.15 eV/cell
- Energy of formation from the pure elements: -2.36 eV/atom



DFT (r²SCAN) results for crystalline YbGa2Cu3 at its relaxed geometry.

Lattice parameters (Å, degrees): 5.1788 5.1788 3.9263 90.00 90.00 120.00
Space group P6/mmm (No. 191)
Symmetry-distinct sites (fractional):
Yb 0.0000 0.0000 0.0000
Ga 0.3333 0.6667 0.0000
Cu 0.0000 0.5000 0.5000

Results
- Raw total energy: -94.04 eV/cell
- Energy of formation from the pure elements: -0.35 eV/atom



DFT (r²SCAN) results for crystalline Sr2CuO3 at its relaxed geometry.

Lattice parameters (Å, degrees): 3.517 3.928 12.616 90.00 90.00 90.00
Space group Immm (No. 71)
Symmetry-distinct sites (fractional):
Sr 0.000 0.000 0.147
Cu 0.000 0.000 0.500
O 0.000 0.000 0.346
O 0.000 0.500 0.500

Results
- Raw total energy: -145.82 eV/cell
- Energy of formation from the pure elements: -2.31 eV/atom



DFT (r²SCAN) results for crystalline CsTe2O6 at its relaxed geometry.

Lattice parameters (Å, degrees): 7.3021 7.3021 18.3459 90.00 90.00 120.00
Space group R-3m (No. 166, hexagonal axes)
Symmetry-distinct sites (fractional):
Cs 0.0000 0.0000 0.1228
Te 0.0000 0.0000 0.5000
Te 0.0000 0.5000 0.0000
O 0.0613 0.5307 0.1014
O 0.0735 0.5367 0.3520

Results
- Raw total energy: -742.88 eV/cell
- Energy of formation from the pure elements: -1.34 eV/atom
- Offset from the most stable computed form: 0.0 kJ per mole of atoms



DFT (r²SCAN) results for crystalline SmSn3Ru at its relaxed geometry.

Lattice parameters (Å, degrees): 9.715 9.715 9.715 90.00 90.00 90.00
Space group Pm-3n (No. 223)
Symmetry-distinct sites (fractional):
Sm 0.000 0.000 0.000
Sm 0.000 0.250 0.500
Sn 0.000 0.315 0.156
Ru 0.250 0.250 0.250

Results
- Raw total energy: -1055.16 eV/cell
- Energy of formation from the pure elements: -0.50 eV/atom



DFT (r²SCAN) results for crystalline CeThB8 at its relaxed geometry.

Lattice parameters (Å, degrees): 10.169 10.255 4.101 90.00 90.00 90.00
Space group Cmmm (No. 65)
Symmetry-distinct sites (fractional):
Ce 0.000 0.186 0.000
Th 0.186 0.500 0.000
B 0.000 0.411 0.500
B 0.089 0.000 0.500
B 0.142 0.317 0.500
B 0.181 0.144 0.500
B 0.250 0.250 0.201

Results
- Raw total energy: -678.92 eV/cell
- Energy of formation from the pure elements: -0.66 eV/atom



DFT (r²SCAN) results for crystalline Li9Co7O16 at its relaxed geometry.

Lattice parameters (Å, degrees): 5.612 6.306 7.439 89.32 79.10 77.12
Space group P-1 (No. 2)
Symmetry-distinct sites (fractional):
Li 0.000 0.000 0.000
Li 0.123 0.368 0.124
Li 0.124 0.878 0.633
Li 0.366 0.635 0.878
Li 0.376 0.122 0.373
Co 0.000 0.500 0.500
Co 0.247 0.249 0.754
Co 0.248 0.752 0.246
Co 0.500 0.000 0.000
Co 0.500 0.500 0.500
O 0.055 0.205 0.577
O 0.058 0.689 0.082
O 0.195 0.545 0.675
O 0.209 0.042 0.181
O 0.305 0.457 0.326
O 0.320 0.958 0.819
O 0.445 0.295 0.927
O 0.446 0.793 0.423

Results
- Raw total energy: -266.48 eV/cell
- Energy of formation from the pure elements: -1.77 eV/atom
- Offset from the most stable computed form: 0.0 kJ per mole of atoms



DFT (r²SCAN) results for crystalline Zn3PBr3 at its relaxed geometry.

Lattice parameters (Å, degrees): 6.597 4.007 6.933 90.00 90.63 90.00
Space group Pm (No. 6)
Symmetry-distinct sites (fractional):
Zn 0.000 0.000 0.000
Zn 0.026 0.500 0.575
Zn 0.552 0.500 0.852
P 0.897 0.500 0.878
Br 0.393 0.500 0.533
Br 0.395 0.000 0.029
Br 0.914 0.000 0.371

Results
- Raw total energy: -80.96 eV/cell
- Energy of formation from the pure elements: -0.78 eV/atom



DFT (r²SCAN) results for crystalline Sc at its relaxed geometry.

Lattice parameters (Å, degrees): 3.265 5.642 16.293 90.00 90.00 90.00
Space group C222_1 (No. 20)
Symmetry-distinct sites (fractional):
Sc 0.002 0.000 0.000
Sc 0.248 0.252 0.333

Results
- Raw total energy: -134.72 eV/cell
- Energy of formation from the pure elements: 0.17 eV/atom
- Offset from the most stable computed form: 16.6 kJ per mole of atoms



Q: What is the raw total energy in the second record?
A: -183.71 eV/cell



What did the fourth record say?
DFT (r²SCAN) results for crystalline Dy2S3O12 at its relaxed geometry.

Lattice parameters (Å, degrees): 12.758 9.218 9.309 90.00 90.00 90.00
Space group Pbcn (No. 60)
Symmetry-distinct sites (fractional):
Dy 0.118 0.249 0.037
S 0.000 0.032 0.750
S 0.146 0.395 0.386
O 0.042 0.337 0.418
O 0.055 0.124 0.854
O 0.077 0.059 0.176
O 0.146 0.447 0.905
O 0.174 0.361 0.237
O 0.222 0.330 0.484

Results
- Raw total energy: -799.15 eV/cell
- Energy of formation from the pure elements: -2.36 eV/atom